No. 1
This record from the Materials Project database describes a relaxed LiCoPO4F crystal. The functional is PBE+U.

Output
Crystal system ... monoclinic
Volume ... 12.015 Å³ per atom
Corrected total energy (MP2020 scheme) ... -434.8 eV/cell
M_tot ... 4.00 μB/f.u.
E_form ... -2277 meV per atom
E ... -0.455 Ry per atom

Cell lengths 5.1179, 13.3198, 11.2804 Å; angles 90.00, 90.33, 90.00 degrees
Last column: nearest neighbours and their distance in Å.
Space group Pc (No. 7)
Inequivalent atoms, fractional coordinates:
Li 0.0000 0.1427 0.0000  1 O 1.87, 1 F 1.95
Li 0.0058 0.2761 0.7081  3 O 2.04-2.27, 2 F 2.06-2.16
Li 0.4268 0.2701 0.5741  3 O 2.08-2.19, 2 F 2.13-2.29
Li 0.8874 0.2572 0.2086  2 O 1.94-2.05
Co 0.0019 0.0240 0.2322  3 O 1.84-2.04, 2 F 1.98-2.01
Co 0.4339 0.0197 0.0636  4 O 1.89-2.05, 2 F 1.94-2.08
Co 0.4989 0.4814 0.5651  3 O 1.88-2.00, 2 F 1.99-2.06
Co 0.9310 0.4849 0.7250  4 O 1.91-2.08, 2 F 1.99-2.11
P 0.0218 0.3821 0.9855  4 O 1.51-1.57
P 0.4212 0.3769 0.3024  4 O 1.50-1.58
P 0.5043 0.1190 0.7988  4 O 1.51-1.58
P 0.9200 0.1204 0.4916  4 O 1.50-1.57
O 0.0302 0.2162 0.5416  1 P 1.50
O 0.0671 0.0258 0.5418  1 P 1.57
O 0.1250 0.3920 0.2670  1 P 1.58
O 0.3160 0.4075 0.0039  1 P 1.56
O 0.3650 0.0285 0.7336  1 P 1.58
O 0.4127 0.2175 0.7480  1 P 1.51
O 0.4195 0.1072 0.9313  1 P 1.57
O 0.4477 0.3882 0.4397  1 P 1.56
O 0.5339 0.2784 0.2644  1 P 1.50
O 0.5704 0.4679 0.2427  1 P 1.58
O 0.6243 0.1041 0.5204  1 P 1.56
O 0.8070 0.0998 0.7901  1 P 1.57
O 0.8636 0.4657 0.0522  1 P 1.57
O 0.9533 0.1151 0.3533  1 P 1.57
O 0.9530 0.2793 0.0318  1 P 1.51
O 0.9539 0.3897 0.8509  1 P 1.56
F 0.2082 0.1290 0.1449  1 Li 1.95, 2 Co 2.01-2.08
F 0.2165 0.4076 0.6488  2 Co 1.99, 1 Li 2.16
F 0.7180 0.3687 0.6426  2 Li 2.06-2.13, 2 Co 2.06-2.11
F 0.7298 0.0894 0.1335  2 Co 1.94-1.98, 1 Li 2.17

No. 2
This record from the Materials Project database describes a relaxed Li2AlNiO4 crystal. The functional is PBE+U.

Output
Crystal system ... orthorhombic
Volume ... 10.548 Å³ per atom
Corrected total energy (MP2020 scheme) ... -101.5 eV/cell
M_tot ... 3.00 μB/f.u.
E_form ... -2200 meV per atom
E ... -0.417 Ry per atom

Cell lengths 6.1484, 5.5231, 4.9696 Å; angles 90.00, 90.00, 90.00 degrees
Last column: nearest neighbours and their distance in Å.
Space group Pmn2_1 (No. 31)
Inequivalent atoms, fractional coordinates:
Li 0.2505 0.1650 0.0000  4 O 1.97-2.00
Al 0.0000 0.3380 0.5050  4 O 1.78-1.79
Ni 0.0000 0.6662 0.0032  4 O 1.86-1.88
O 0.0000 0.3530 0.8644  1 Al 1.79, 1 Ni 1.86, 2 Li 1.98
O 0.0000 0.6399 0.3785  1 Al 1.78, 1 Ni 1.87, 2 Li 1.97
O 0.2403 0.1809 0.4018  1 Al 1.79, 1 Ni 1.88, 2 Li 1.97-2.00

No. 3
This record from the Materials Project database describes a relaxed LiMn6O4F8 crystal. The functional is PBE+U.

Output
Crystal system ... triclinic
Volume ... 13.405 Å³ per atom
Corrected total energy (MP2020 scheme) ... -139.5 eV/cell
M_tot ... 27.00 μB/f.u.
E_form ... -2498 meV per atom
E ... -0.476 Ry per atom

Cell lengths 5.3066, 6.2174, 7.9523 Å; angles 80.90, 84.36, 80.34 degrees
Last column: nearest neighbours and their distance in Å.
Space group P1 (No. 1)
Inequivalent atoms, fractional coordinates:
Li 0.0000 0.0000 0.0000  3 F 1.89-2.01, 1 O 1.90
Mn 0.2876 0.9237 0.4229  2 O 1.89-1.90, 2 F 2.03-2.04
Mn 0.3052 0.2507 0.1090  2 O 1.88-1.91, 2 F 1.96-1.99
Mn 0.3147 0.5706 0.7604  3 O 1.86-2.05
Mn 0.6616 0.0432 0.7066  2 O 1.98-2.00, 2 F 2.17-2.19
Mn 0.6943 0.6554 0.0669  1 O 1.97, 3 F 2.09-2.18
Mn 0.8210 0.4660 0.4716  1 O 2.02, 4 F 2.09-2.20
O 0.1592 0.9987 0.2045  2 Mn 1.88-1.89, 1 Li 1.90
O 0.4427 0.5013 0.9885  3 Mn 1.91-1.97
O 0.4481 0.8471 0.6326  3 Mn 1.90-2.05
O 0.5640 0.3718 0.6614  3 Mn 1.86-2.02
F 0.0946 0.6391 0.5370  3 Mn 2.09-2.22
F 0.1177 0.2651 0.9014  1 Li 1.89, 1 Mn 1.99
F 0.4787 0.2091 0.3213  2 Mn 1.96-2.20
F 0.5759 0.7162 0.3199  3 Mn 2.03-2.15
F 0.6301 0.0115 0.9860  1 Li 1.97, 2 Mn 2.18-2.19
F 0.9785 0.4635 0.2146  3 Mn 2.09-2.18
F 0.9871 0.1163 0.5332  3 Mn 2.04-2.20
F 0.9882 0.7578 0.8621  1 Li 2.01, 2 Mn 2.09-2.24